DFT (GGA+U) results for Cr2O3 after structural relaxation.

abc: 9.758 9.881 9.987
angles: 89.09 80.38 86.22
Sites, in units of the cell vectors:
Cr  0.000  0.000  0.000
Cr  0.000  0.634  0.314
Cr  0.005  0.909  0.431
Cr  0.060  0.172  0.641
Cr  0.075  0.566  0.602
Cr  0.138  0.309  0.888
Cr  0.216  0.524  0.088
Cr  0.222  0.838  0.188
Cr  0.242  0.764  0.846
Cr  0.277  0.152  0.079
Cr  0.310  0.469  0.711
Cr  0.322  0.044  0.719
Cr  0.342  0.011  0.417
Cr  0.371  0.493  0.330
Cr  0.466  0.758  0.522
Cr  0.468  0.271  0.504
Cr  0.489  0.682  0.100
Cr  0.519  0.210  0.842
Cr  0.520  0.034  0.111
Cr  0.579  0.352  0.112
Cr  0.593  0.836  0.814
Cr  0.595  0.524  0.794
Cr  0.668  0.031  0.538
Cr  0.685  0.558  0.287
Cr  0.731  0.873  0.267
Cr  0.780  0.626  0.544
Cr  0.788  0.171  0.281
Cr  0.820  0.350  0.508
Cr  0.863  0.363  0.807
Cr  0.872  0.716  0.002
Cr  0.908  0.865  0.726
Cr  0.954  0.348  0.146
O  0.019  0.990  0.601
O  0.027  0.814  0.253
O  0.036  0.818  0.876
O  0.083  0.370  0.705
O  0.087  0.115  0.827
O  0.161  0.318  0.092
O  0.176  0.991  0.070
O  0.194  0.929  0.365
O  0.206  0.605  0.283
O  0.227  0.479  0.897
O  0.240  0.650  0.684
O  0.269  0.710  0.035
O  0.278  0.157  0.550
O  0.318  0.185  0.867
O  0.330  0.900  0.582
O  0.335  0.431  0.518
O  0.359  0.099  0.237
O  0.384  0.887  0.823
O  0.426  0.493  0.120
O  0.443  0.864  0.153
O  0.471  0.225  0.043
O  0.486  0.331  0.310
O  0.491  0.384  0.725
O  0.491  0.642  0.343
O  0.506  0.118  0.659
O  0.528  0.670  0.911
O  0.570  0.907  0.432
O  0.575  0.013  0.926
O  0.590  0.696  0.652
O  0.655  0.055  0.208
O  0.663  0.366  0.908
O  0.669  0.218  0.462
O  0.683  0.486  0.464
O  0.689  0.679  0.125
O  0.729  0.935  0.682
O  0.746  0.372  0.194
O  0.775  0.482  0.686
O  0.785  0.751  0.847
O  0.792  0.699  0.353
O  0.824  0.990  0.383
O  0.854  0.887  0.088
O  0.866  0.229  0.663
O  0.918  0.155  0.109
O  0.929  0.270  0.343
O  0.948  0.744  0.565
O  0.951  0.386  0.955
O  0.953  0.504  0.472
O  0.998  0.558  0.137

* total moment: 96.000 Bohr magnetons per cell
* calculated density: 4.26 g/cm³
* formation energy from the elements: -2.003 eV per atom

DFT (GGA+U) results for Cr2O after structural relaxation.

abc: 4.050 4.050 4.050
angles: 60.00 60.00 60.00
Sites, in units of the cell vectors:
Cr  0.250  0.250  0.250
Cr  0.750  0.750  0.750
O  0.000  0.000  0.000

* total moment: 9.767 Bohr magnetons per cell
* calculated density: 4.24 g/cm³
* formation energy from the elements: 0.007 eV per atom

DFT (GGA+U) results for Cr2O3 after structural relaxation.

abc: 7.314 5.137 5.300
angles: 90.00 90.00 90.00
Sites, in units of the cell vectors:
Cr  0.105  0.250  0.034
Cr  0.105  0.750  0.534
Cr  0.395  0.250  0.534
Cr  0.395  0.750  0.034
Cr  0.605  0.250  0.966
Cr  0.605  0.750  0.466
Cr  0.895  0.250  0.466
Cr  0.895  0.750  0.966
O  0.000  0.050  0.750
O  0.000  0.950  0.250
O  0.152  0.392  0.393
O  0.152  0.608  0.893
O  0.348  0.108  0.893
O  0.348  0.892  0.393
O  0.500  0.450  0.250
O  0.500  0.550  0.750
O  0.652  0.108  0.607
O  0.652  0.892  0.107
O  0.848  0.392  0.107
O  0.848  0.608  0.607

* calculated density: 5.07 g/cm³
* formation energy from the elements: -2.320 eV per atom

DFT (GGA+U) results for Cr2O3 after structural relaxation.

abc: 5.754 5.754 5.252
angles: 111.26 111.26 65.55
Sites, in units of the cell vectors:
Cr  0.040  0.260  0.069
Cr  0.260  0.040  0.569
Cr  0.740  0.960  0.431
Cr  0.960  0.740  0.931
O  0.076  0.924  0.750
O  0.158  0.372  0.837
O  0.372  0.158  0.337
O  0.628  0.842  0.663
O  0.842  0.628  0.163
O  0.924  0.076  0.250

* total moment: 12.000 Bohr magnetons per cell
* calculated density: 3.53 g/cm³
* formation energy from the elements: -2.042 eV per atom

no.,raw total energy (eV/atom)
1,-7.6215
2,-6.5159
3,-7.9381
4,-7.6606